Record 1
An optimized crystal structure of Ce5Pb3. Source: Materials Project, functional PBE.

Summary:
Raw total energy = -86.918 eV for the cell shown
Formation enthalpy at 0 K = -331.9 meV/atom

Cell lengths 9.4946, 9.4946, 6.4984 Å; angles 90.00, 90.00, 120.00 degrees
Space group P6_3/mcm (No. 193)
Symmetry-distinct sites (fractional):
Ce 0.0000 0.2539 0.2500 x6
Ce 0.3333 0.6667 0.0000 x4
Pb 0.0000 0.3875 0.7500 x6



Record 2
An optimized crystal structure of FeCo3N3. Source: Materials Project, functional PBE.

Summary:
Raw total energy = -106.603 eV for the cell shown
Formation enthalpy at 0 K = 60.0 meV/atom

Cell lengths 6.3154, 6.3154, 3.8655 Å; angles 90.00, 90.00, 120.00 degrees
Space group P6_3/m (No. 176)
Symmetry-distinct sites (fractional):
Fe 0.3333 0.6667 0.2500 x2
Co 0.1801 0.3610 0.7500 x6
N 0.1694 0.3402 0.2500 x6



Record 3
An optimized crystal structure of BaMg14Co. Source: Materials Project, functional PBE.

Summary:
Raw total energy = -28.767 eV for the cell shown
Distance to the lowest polymorph of the same formula = 37.7 meV/atom
Formation enthalpy at 0 K = 166.5 meV/atom

Cell lengths 6.4812, 6.4812, 10.4345 Å; angles 90.00, 90.00, 120.00 degrees
Space group P-6m2 (No. 187)
Symmetry-distinct sites (fractional):
Ba 0.0000 0.0000 0.0000 x1
Mg 0.0131 0.5066 0.0000 x3
Mg 0.1609 0.3218 0.2831 x6
Mg 0.5078 0.0156 0.5000 x3
Mg 0.6667 0.3333 0.2373 x2
Co 0.0000 0.0000 0.5000 x1



Record 4
An optimized crystal structure of NaAl11O17. Source: Materials Project, functional PBE.

Summary:
Raw total energy = -424.386 eV for the cell shown
Distance to the lowest polymorph of the same formula = 8.2 meV/atom
Formation enthalpy at 0 K = -3352.9 meV/atom

Cell lengths 5.6534, 5.6534, 22.7526 Å; angles 90.00, 90.00, 120.00 degrees
Space group P6_3/mmc (No. 194)
Symmetry-distinct sites (fractional):
Na 0.0000 0.0000 0.2500 x2
Al 0.0000 0.0000 0.0000 x2
Al 0.1682 0.3365 0.1064 x12
Al 0.3333 0.6667 0.5262 x4
Al 0.3333 0.6667 0.6748 x4
O 0.0000 0.0000 0.1436 x4
O 0.0025 0.5012 0.1441 x12
O 0.1558 0.3115 0.5501 x12
O 0.3333 0.6667 0.0541 x4
O 0.3333 0.6667 0.7500 x2



Record 5
An optimized crystal structure of ScP. Source: Materials Project, functional PBE.

Summary:
Raw total energy = -58.910 eV for the cell shown
Formation enthalpy at 0 K = -1490.9 meV/atom

Cell lengths 5.317, 5.317, 5.317 Å; angles 90.00, 90.00, 90.00 degrees
Space group Fm-3m (No. 225)
Symmetry-distinct sites (fractional):
Sc 0.000 0.000 0.000 x4
P 0.000 0.000 0.500 x4



Record 6
An optimized crystal structure of NpSb3. Source: Materials Project, functional PBE.

Summary:
Raw total energy = -51.860 eV for the cell shown
Formation enthalpy at 0 K = -292.8 meV/atom

Cell lengths 4.455, 4.455, 10.505 Å; angles 90.00, 90.00, 90.00 degrees
Space group I4/mmm (No. 139)
Symmetry-distinct sites (fractional):
Np 0.000 0.000 0.000 x2
Sb 0.000 0.000 0.500 x2
Sb 0.000 0.500 0.250 x4



Record 7
An optimized crystal structure of H3Pb. Source: Materials Project, functional PBE.

Summary:
Raw total energy = -43.113 eV for the cell shown
Formation enthalpy at 0 K = 778.1 meV/atom

Cell lengths 5.475, 5.475, 5.475 Å; angles 90.00, 90.00, 90.00 degrees
Space group Fm-3m (No. 225)
Symmetry-distinct sites (fractional):
H 0.000 0.000 0.000 x4
H 0.250 0.250 0.250 x8
Pb 0.000 0.000 0.500 x4



Record 8
An optimized crystal structure of MgGe3. Source: Materials Project, functional PBE.

Summary:
Raw total energy = -30.036 eV for the cell shown
Formation enthalpy at 0 K = 112.8 meV/atom

Cell lengths 4.183, 4.183, 8.944 Å; angles 90.00, 90.00, 90.00 degrees
Space group I4/mmm (No. 139)
Symmetry-distinct sites (fractional):
Mg 0.000 0.000 0.000 x2
Ge 0.000 0.000 0.500 x2
Ge 0.000 0.500 0.250 x4



Record 9
An optimized crystal structure of CaAlH5. Source: Materials Project, functional PBE.

Summary:
Raw total energy = -98.037 eV for the cell shown
Distance to the lowest polymorph of the same formula = 24.2 meV/atom
Formation enthalpy at 0 K = -384.2 meV/atom

Cell lengths 4.562, 4.759, 12.302 Å; angles 90.00, 90.00, 90.00 degrees
Space group P2_12_12_1 (No. 19)
Symmetry-distinct sites (fractional):
Ca 0.214 0.199 0.352 x4
Al 0.248 0.819 0.592 x4
H 0.062 0.699 0.323 x4
H 0.076 0.372 0.985 x4
H 0.082 0.993 0.695 x4
H 0.120 0.886 0.031 x4
H 0.165 0.496 0.638 x4



Record 10
An optimized crystal structure of NdSnAu. Source: Materials Project, functional PBE.

Summary:
Raw total energy = -29.107 eV for the cell shown
Formation enthalpy at 0 K = -834.0 meV/atom

Cell lengths 4.7913, 4.7913, 7.6862 Å; angles 90.00, 90.00, 120.00 degrees
Space group P6_3mc (No. 186)
Symmetry-distinct sites (fractional):
Nd 0.0000 0.0000 0.0000 x2
Sn 0.3333 0.6667 0.2247 x2
Au 0.3333 0.6667 0.8168 x2



Record 11
An optimized crystal structure of TeIr. Source: Materials Project, functional PBE.

Summary:
Raw total energy = -23.721 eV for the cell shown
Formation enthalpy at 0 K = 60.6 meV/atom

Cell lengths 4.1114, 4.1114, 5.6641 Å; angles 90.00, 90.00, 120.00 degrees
Space group P6_3/mmc (No. 194)
Symmetry-distinct sites (fractional):
Te 0.3333 0.6667 0.2500 x2
Ir 0.0000 0.0000 0.0000 x2



Record 12
An optimized crystal structure of GdPd. Source: Materials Project, functional PBE.

Summary:
Raw total energy = -84.080 eV for the cell shown
Formation enthalpy at 0 K = -881.9 meV/atom

Cell lengths 3.780, 10.735, 4.588 Å; angles 90.00, 90.00, 90.00 degrees
Space group Cmcm (No. 63)
Symmetry-distinct sites (fractional):
Gd 0.000 0.137 0.250 x4
Pd 0.000 0.414 0.250 x4